(1)
Sr2MgTiMoO6 | GGA+U | relaxed

The structure in CIF format:
```
data_Sr2MgTiMoO6
_space_group_name_H-M_alt 'P -1'
_space_group_IT_number 2
_cell_length_a 5.765
_cell_length_b 5.837
_cell_length_c 5.979
_cell_angle_alpha 119.13
_cell_angle_beta 117.52
_cell_angle_gamma 90.44
loop_
_space_group_symop_operation_xyz
'x,y,z'
'-x,-y,-z'
loop_
_atom_site_label
_atom_site_type_symbol
_atom_site_fract_x
_atom_site_fract_y
_atom_site_fract_z
_atom_site_occupancy
Sr1 Sr 0.194 0.159 0.368 1
Mg1 Mg 0.500 0.500 0.000 1
Ti1 Ti 0.000 0.500 0.000 1
Mo1 Mo 0.500 0.000 0.000 1
O1 O 0.214 0.685 0.912 1
O2 O 0.243 0.257 0.997 1
O3 O 0.293 0.792 0.487 1
```

Calculated values
energy of formation from the pure elements = -2.57 eV per atom
magnetic moment = 2.02 μB per formula unit
total DFT energy (no corrections) = -0.49645 Ry/atom
energy above the most stable polymorph in this dataset = 0.2306 eV per atom

---

(2)
Sr2MgTiMoO6 | GGA+U | relaxed

The structure in CIF format:
```
data_Sr2MgTiMoO6
_space_group_name_H-M_alt 'P 1'
_space_group_IT_number 1
_cell_length_a 5.596
_cell_length_b 5.749
_cell_length_c 5.888
_cell_angle_alpha 62.45
_cell_angle_beta 62.56
_cell_angle_gamma 80.65
loop_
_space_group_symop_operation_xyz
'x,y,z'
loop_
_atom_site_label
_atom_site_type_symbol
_atom_site_fract_x
_atom_site_fract_y
_atom_site_fract_z
_atom_site_occupancy
Sr1 Sr 0.000 0.000 0.000 1
Sr2 Sr 0.255 0.636 0.562 1
Mg1 Mg 0.413 0.253 0.212 1
Ti1 Ti 0.831 0.386 0.354 1
Mo1 Mo 0.624 0.830 0.781 1
O1 O 0.012 0.065 0.510 1
O2 O 0.239 0.580 0.050 1
O3 O 0.453 0.193 0.564 1
O4 O 0.519 0.977 0.082 1
O5 O 0.749 0.637 0.496 1
O6 O 0.795 0.459 0.013 1
```

Calculated values
energy of formation from the pure elements = -2.80 eV per atom
magnetic moment = 2.00 μB per formula unit
total DFT energy (no corrections) = -0.51340 Ry/atom
energy above the most stable polymorph in this dataset = 0.0000 eV per atom

---

- total DFT energy (no corrections) of number 2 (Sr2MgTiMoO6)?
  -0.51340 Ry/atom

---

- The highest total DFT energy (no corrections) belongs to which entry?
  number 1

---

- total DFT energy (no corrections) of number 2 (Sr2MgTiMoO6)?
  -0.51340 Ry/atom